Compound: NdSeF
Source: Materials Project
Functional: PBE
Structure: relaxed

The structure belongs to space group P4/nmm (No. 129, origin choice 2); the cell edges are 4.050, 4.050 and 7.243 Å and the angles 90.00°, 90.00° and 90.00°. Symmetry generates all atoms from Nd at (0.250, 0.250, 0.218), Se at (0.250, 0.250, 0.644) and F at (0.250, 0.750, 0.000).

For the volume, the calculation gives 19.8 Å³/atom. The calculation puts the formation energy at -3.027 eV/atom. The total energy comes out at -37.60 eV/cell.